1.
{
  "formula": "ZrBr2",
  "functional": "r2SCAN",
  "state": "optimized geometry",
  "cell": [[6.831, 3.944, 3.166], [-6.831, 3.944, 3.166], [0.000, -7.888, 3.166]],
  "species": ["Zr", "Zr", "Zr", "Zr", "Zr", "Zr", "Br", "Br", "Br", "Br", "Br", "Br", "Br", "Br", "Br", "Br", "Br", "Br"],
  "fractional_positions": [[0.210, 0.401, 0.467], [0.401, 0.467, 0.210], [0.467, 0.210, 0.401], [0.533, 0.790, 0.599], [0.599, 0.533, 0.790], [0.790, 0.599, 0.533], [0.048, 0.355, 0.126], [0.126, 0.048, 0.355], [0.188, 0.726, 0.578], [0.274, 0.422, 0.812], [0.355, 0.126, 0.048], [0.422, 0.812, 0.274], [0.578, 0.188, 0.726], [0.645, 0.874, 0.952], [0.726, 0.578, 0.188], [0.812, 0.274, 0.422], [0.874, 0.952, 0.645], [0.952, 0.645, 0.874]],
  "formation_enthalpy_0k_ev_per_atom": -1.46,
  "rho_g_cm3": 4.89,
  "vol_a3_per_cell": 511.9
}

2.
{
  "formula": "C",
  "functional": "r2SCAN",
  "state": "optimized geometry",
  "cell": [[2.456, 0.000, 0.000], [-1.228, 2.127, 0.000], [0.000, 0.000, 8.524]],
  "species": ["C", "C"],
  "fractional_positions": [[0.333, 0.667, 0.000], [0.667, 0.333, 0.000]],
  "de_polymorph_mev_per_atom": 13.1,
  "formation_enthalpy_0k_ev_per_atom": 0.01,
  "rho_g_cm3": 0.90,
  "vol_a3_per_cell": 44.5
}

3.
{
  "formula": "C",
  "functional": "r2SCAN",
  "state": "optimized geometry",
  "cell": [[2.456, 0.000, 0.000], [-1.228, 2.127, 0.000], [0.000, 0.000, 29.492]],
  "species": ["C", "C", "C", "C", "C", "C", "C", "C", "C", "C", "C", "C"],
  "fractional_positions": [[0.000, 0.000, 0.000], [0.000, 0.000, 0.500], [0.333, 0.667, 0.000], [0.333, 0.667, 0.117], [0.333, 0.667, 0.383], [0.333, 0.667, 0.617], [0.333, 0.667, 0.883], [0.667, 0.333, 0.117], [0.667, 0.333, 0.383], [0.667, 0.333, 0.500], [0.667, 0.333, 0.617], [0.667, 0.333, 0.883]],
  "de_polymorph_mev_per_atom": 6.1,
  "formation_enthalpy_0k_ev_per_atom": 0.01,
  "rho_g_cm3": 1.55,
  "vol_a3_per_cell": 154.1
}

4.
{
  "formula": "C",
  "functional": "r2SCAN",
  "state": "optimized geometry",
  "cell": [[2.457, 0.000, 0.000], [-1.228, 2.127, 0.000], [0.000, 0.000, 7.293]],
  "species": ["C", "C"],
  "fractional_positions": [[0.333, 0.667, 0.000], [0.667, 0.333, 0.000]],
  "de_polymorph_mev_per_atom": 12.9,
  "formation_enthalpy_0k_ev_per_atom": 0.01,
  "rho_g_cm3": 1.05,
  "vol_a3_per_cell": 38.1
}

5.
{
  "formula": "C",
  "functional": "r2SCAN",
  "state": "optimized geometry",
  "cell": [[2.456, 0.000, 0.000], [-1.228, 2.127, 0.000], [0.000, 0.000, 12.046]],
  "species": ["C", "C", "C", "C"],
  "fractional_positions": [[0.000, 0.000, 0.250], [0.000, 0.000, 0.750], [0.333, 0.667, 0.250], [0.667, 0.333, 0.750]],
  "de_polymorph_mev_per_atom": 14.4,
  "formation_enthalpy_0k_ev_per_atom": 0.01,
  "rho_g_cm3": 1.27,
  "vol_a3_per_cell": 62.9
}

6.
{
  "formula": "C",
  "functional": "r2SCAN",
  "state": "optimized geometry",
  "cell": [[2.456, 0.000, 0.000], [-1.228, 2.127, 0.000], [0.000, 0.000, 17.912]],
  "species": ["C", "C"],
  "fractional_positions": [[0.333, 0.667, 0.000], [0.667, 0.333, 0.000]],
  "de_polymorph_mev_per_atom": 17.6,
  "formation_enthalpy_0k_ev_per_atom": 0.02,
  "rho_g_cm3": 0.43,
  "vol_a3_per_cell": 93.6
}

Repeat the fifth record exactly.
{
  "formula": "C",
  "functional": "r2SCAN",
  "state": "optimized geometry",
  "cell": [[2.456, 0.000, 0.000], [-1.228, 2.127, 0.000], [0.000, 0.000, 12.046]],
  "species": ["C", "C", "C", "C"],
  "fractional_positions": [[0.000, 0.000, 0.250], [0.000, 0.000, 0.750], [0.333, 0.667, 0.250], [0.667, 0.333, 0.750]],
  "de_polymorph_mev_per_atom": 14.4,
  "formation_enthalpy_0k_ev_per_atom": 0.01,
  "rho_g_cm3": 1.27,
  "vol_a3_per_cell": 62.9
}